PBE GdSn3, relaxed; ΔH_f (0 K) = -30.0 kJ per mole of atoms; SG = No. 38
1.0
2.2243 -11.4848 0.0000
2.2243 11.4848 0.0000
0.0000 0.0000 4.6715
Sn Gd
6 2
Direct
0.1536 0.8464 0.0000
0.2643 0.7357 0.5000
0.9083 0.0917 0.0000
0.5337 0.4663 0.0000
0.3945 0.6055 0.5000
0.6358 0.3642 0.5000
0.0102 0.9898 0.5000
0.7693 0.2307 0.0000